Entry from the Materials Project database: a relaxed K2NaV5H10O19 crystal (GGA+U).

Results
Calculated density = 2.56 g cm⁻³
Crystal system = triclinic
ΔH_f (0 K) = -1918 meV/atom
Calculated volume = 11.732 Å³ per atom

Cell: 8.7467 10.5193 11.1519 Å, 69.24 87.26 65.64°
Space group P-1 (No. 2)
Inequivalent atoms, fractional coordinates:
K (0.1860, 0.2111, 0.4897) (multiplicity 2)
K (0.2657, 0.8203, 0.9188) (multiplicity 2)
Na (0.0731, 0.3322, 0.1280) (multiplicity 2)
V (0.1689, 0.7897, 0.2758) (multiplicity 2)
V (0.3135, 0.5006, 0.5191) (multiplicity 2)
V (0.3766, 0.7867, 0.4999) (multiplicity 2)
V (0.4724, 0.2071, 0.7676) (multiplicity 2)
V (0.4722, 0.5056, 0.2536) (multiplicity 2)
H (0.0148, 0.0786, 0.3463) (multiplicity 2)
H (0.0498, 0.1899, 0.9325) (multiplicity 2)
H (0.0764, 0.4596, 0.7161) (multiplicity 2)
H (0.1016, 0.5325, 0.2486) (multiplicity 2)
H (0.1287, 0.7616, 0.6627) (multiplicity 2)
H (0.1566, 0.0790, 0.0645) (multiplicity 2)
H (0.2776, 0.4376, 0.9302) (multiplicity 2)
H (0.2809, 0.4857, 0.0456) (multiplicity 2)
H (0.4015, 0.0734, 0.2882) (multiplicity 2)
H (0.4205, 0.2225, 0.2639) (multiplicity 2)
O (0.0258, 0.1086, 0.7970) (multiplicity 2)
O (0.0273, 0.8126, 0.6993) (multiplicity 2)
O (0.0313, 0.4774, 0.2614) (multiplicity 2)
O (0.0576, 0.1756, 0.0239) (multiplicity 2)
O (0.1255, 0.6303, 0.4255) (multiplicity 2)
O (0.1712, 0.8690, 0.4024) (multiplicity 2)
O (0.2024, 0.4890, 0.9837) (multiplicity 2)
O (0.2486, 0.6376, 0.2037) (multiplicity 2)
O (0.2685, 0.3686, 0.6455) (multiplicity 2)
O (0.2957, 0.8816, 0.1750) (multiplicity 2)
O (0.3183, 0.6192, 0.6191) (multiplicity 2)
O (0.3388, 0.1837, 0.2564) (multiplicity 2)
O (0.3407, 0.8890, 0.5900) (multiplicity 2)
O (0.3949, 0.0996, 0.8674) (multiplicity 2)
O (0.3979, 0.3800, 0.4149) (multiplicity 2)
O (0.4315, 0.6212, 0.3960) (multiplicity 2)
O (0.4438, 0.3592, 0.8351) (multiplicity 2)
O (0.4788, 0.8704, 0.3663) (multiplicity 2)
O (0.4990, 0.5982, 0.8351) (multiplicity 2)